[1]
The following is a DFT calculation (PBE) of crystalline Ba11Si2N10 at its relaxed geometry. Values from VASP.

Cell and atoms, written as Quantum ESPRESSO input:
```
&SYSTEM
  ibrav = 0, nat = 46, ntyp = 3
/
ATOMIC_SPECIES
Ba 137.33 Ba.upf
Si 28.09 Si.upf
N 14.01 N.upf
CELL_PARAMETERS angstrom
16.974 0.000 0.000
0.000 16.974 0.000
0.000 0.000 4.143
ATOMIC_POSITIONS crystal
Ba 0.000 0.000 0.000
Ba 0.018 0.205 0.500
Ba 0.109 0.621 0.500
Ba 0.121 0.391 0.000
Ba 0.170 0.830 0.000
Ba 0.205 0.018 0.500
Ba 0.295 0.518 0.000
Ba 0.330 0.330 0.500
Ba 0.379 0.891 0.500
Ba 0.391 0.121 0.000
Ba 0.482 0.705 0.000
Ba 0.500 0.500 0.500
Ba 0.518 0.295 0.000
Ba 0.609 0.879 0.000
Ba 0.621 0.109 0.500
Ba 0.670 0.670 0.500
Ba 0.705 0.482 0.000
Ba 0.795 0.982 0.500
Ba 0.830 0.170 0.000
Ba 0.879 0.609 0.000
Ba 0.891 0.379 0.500
Ba 0.982 0.795 0.500
Si 0.186 0.186 0.000
Si 0.314 0.686 0.500
Si 0.686 0.314 0.500
Si 0.814 0.814 0.000
N 0.027 0.685 0.000
N 0.093 0.907 0.500
N 0.118 0.118 0.000
N 0.185 0.473 0.500
N 0.247 0.753 0.500
N 0.253 0.253 0.000
N 0.315 0.973 0.000
N 0.382 0.618 0.500
N 0.407 0.407 0.000
N 0.473 0.185 0.500
N 0.527 0.815 0.500
N 0.593 0.593 0.000
N 0.618 0.382 0.500
N 0.685 0.027 0.000
N 0.747 0.747 0.000
N 0.753 0.247 0.500
N 0.815 0.527 0.500
N 0.882 0.882 0.000
N 0.907 0.093 0.500
N 0.973 0.315 0.000
```

Properties
size of the total moment: 0.280 μB/f.u.
raw total energy: -5.38 eV/atom

***

[2]
The following is a DFT calculation (PBE) of crystalline Ba7SiN6 at its relaxed geometry. Values from VASP.

Cell and atoms, written as Quantum ESPRESSO input:
```
&SYSTEM
  ibrav = 0, nat = 56, ntyp = 3
/
ATOMIC_SPECIES
Ba 137.33 Ba.upf
Si 28.09 Si.upf
N 14.01 N.upf
CELL_PARAMETERS angstrom
12.507 0.000 0.000
0.000 7.013 0.000
0.000 0.000 14.394
ATOMIC_POSITIONS crystal
Ba 0.000 0.068 0.250
Ba 0.000 0.932 0.750
Ba 0.039 0.244 0.517
Ba 0.039 0.756 0.017
Ba 0.211 0.396 0.133
Ba 0.211 0.604 0.633
Ba 0.217 0.356 0.874
Ba 0.217 0.644 0.374
Ba 0.283 0.144 0.374
Ba 0.283 0.856 0.874
Ba 0.289 0.104 0.633
Ba 0.289 0.896 0.133
Ba 0.461 0.256 0.017
Ba 0.461 0.744 0.517
Ba 0.500 0.432 0.750
Ba 0.500 0.568 0.250
Ba 0.539 0.256 0.483
Ba 0.539 0.744 0.983
Ba 0.711 0.104 0.867
Ba 0.711 0.896 0.367
Ba 0.717 0.144 0.126
Ba 0.717 0.856 0.626
Ba 0.783 0.356 0.626
Ba 0.783 0.644 0.126
Ba 0.789 0.396 0.367
Ba 0.789 0.604 0.867
Ba 0.961 0.244 0.983
Ba 0.961 0.756 0.483
Si 0.000 0.414 0.750
Si 0.000 0.586 0.250
Si 0.500 0.086 0.250
Si 0.500 0.914 0.750
N 0.038 0.439 0.348
N 0.038 0.561 0.848
N 0.111 0.263 0.713
N 0.111 0.737 0.213
N 0.163 0.109 0.004
N 0.163 0.891 0.504
N 0.337 0.391 0.504
N 0.337 0.609 0.004
N 0.389 0.237 0.213
N 0.389 0.763 0.713
N 0.462 0.061 0.848
N 0.462 0.939 0.348
N 0.538 0.061 0.652
N 0.538 0.939 0.152
N 0.611 0.237 0.287
N 0.611 0.763 0.787
N 0.663 0.391 0.996
N 0.663 0.609 0.496
N 0.837 0.109 0.496
N 0.837 0.891 0.996
N 0.889 0.263 0.787
N 0.889 0.737 0.287
N 0.962 0.439 0.152
N 0.962 0.561 0.652
```

Properties
size of the total moment: 0.002 μB/f.u.
raw total energy: -5.47 eV/atom

***

[3]
The following is a DFT calculation (PBE) of crystalline Ba4SnN4 at its relaxed geometry. Values from VASP.

Cell and atoms, written as Quantum ESPRESSO input:
```
&SYSTEM
  ibrav = 0, nat = 18, ntyp = 3
/
ATOMIC_SPECIES
Ba 137.33 Ba.upf
Sn 118.71 Sn.upf
N 14.01 N.upf
CELL_PARAMETERS angstrom
6.871 0.000 0.000
2.774 6.472 0.000
1.647 2.574 9.387
ATOMIC_POSITIONS crystal
Ba 0.216 0.465 0.116
Ba 0.225 0.931 0.341
Ba 0.256 0.273 0.535
Ba 0.282 0.992 0.940
Ba 0.718 0.008 0.060
Ba 0.744 0.727 0.465
Ba 0.775 0.069 0.659
Ba 0.784 0.535 0.884
Sn 0.274 0.656 0.743
Sn 0.726 0.344 0.257
N 0.024 0.814 0.885
N 0.084 0.686 0.581
N 0.453 0.338 0.865
N 0.475 0.842 0.683
N 0.525 0.158 0.317
N 0.547 0.662 0.135
N 0.916 0.314 0.419
N 0.976 0.186 0.115
```

Properties
size of the total moment: 0.002 μB/f.u.
raw total energy: -5.36 eV/atom

***

[4]
The following is a DFT calculation (PBE) of crystalline Ba3Ta3N5 at its relaxed geometry. Values from VASP.

Cell and atoms, written as Quantum ESPRESSO input:
```
&SYSTEM
  ibrav = 0, nat = 22, ntyp = 3
/
ATOMIC_SPECIES
Ba 137.33 Ba.upf
Ta 180.95 Ta.upf
N 14.01 N.upf
CELL_PARAMETERS angstrom
6.055 0.000 0.000
-1.938 8.279 0.000
-1.696 -3.730 8.284
ATOMIC_POSITIONS crystal
Ba 0.134 0.319 0.411
Ba 0.198 0.194 0.762
Ba 0.258 0.939 0.104
Ba 0.742 0.061 0.896
Ba 0.802 0.806 0.238
Ba 0.866 0.681 0.589
Ta 0.161 0.503 0.138
Ta 0.393 0.809 0.464
Ta 0.421 0.620 0.801
Ta 0.579 0.380 0.199
Ta 0.607 0.191 0.536
Ta 0.839 0.497 0.862
N 0.224 0.264 0.084
N 0.227 0.570 0.954
N 0.275 0.008 0.447
N 0.355 0.733 0.646
N 0.496 0.598 0.317
N 0.504 0.402 0.683
N 0.645 0.267 0.354
N 0.725 0.992 0.553
N 0.773 0.430 0.046
N 0.776 0.736 0.916
```

Properties
size of the total moment: 0.050 μB/f.u.
raw total energy: -8.37 eV/atom

***

[5]
The following is a DFT calculation (PBE) of crystalline BaThN2 at its relaxed geometry. Values from VASP.

Cell and atoms, written as Quantum ESPRESSO input:
```
&SYSTEM
  ibrav = 0, nat = 8, ntyp = 3
/
ATOMIC_SPECIES
Ba 137.33 Ba.upf
Th 232.04 Th.upf
N 14.01 N.upf
CELL_PARAMETERS angstrom
3.774 0.000 0.000
-1.887 3.268 0.000
0.000 0.000 12.917
ATOMIC_POSITIONS crystal
Ba 0.333 0.667 0.250
Ba 0.667 0.333 0.750
Th 0.000 0.000 0.000
Th 0.000 0.000 0.500
N 0.333 0.667 0.597
N 0.333 0.667 0.903
N 0.667 0.333 0.097
N 0.667 0.333 0.403
```

Properties
raw total energy: -7.68 eV/atom

***

[6]
The following is a DFT calculation (PBE) of crystalline Ba3TiN3 at its relaxed geometry. Values from VASP.

Cell and atoms, written as Quantum ESPRESSO input:
```
&SYSTEM
  ibrav = 0, nat = 14, ntyp = 3
/
ATOMIC_SPECIES
Ba 137.33 Ba.upf
Ti 47.87 Ti.upf
N 14.01 N.upf
CELL_PARAMETERS angstrom
10.262 0.000 0.000
-5.131 8.887 0.000
0.000 0.000 4.481
ATOMIC_POSITIONS crystal
Ba 0.005 0.347 0.250
Ba 0.342 0.995 0.250
Ba 0.347 0.342 0.750
Ba 0.653 0.658 0.250
Ba 0.658 0.005 0.750
Ba 0.995 0.653 0.750
Ti 0.333 0.667 0.750
Ti 0.667 0.333 0.250
N 0.149 0.484 0.750
N 0.335 0.851 0.750
N 0.484 0.335 0.250
N 0.516 0.665 0.750
N 0.665 0.149 0.250
N 0.851 0.516 0.250
```

Properties
size of the total moment: 0.424 μB/f.u.
raw total energy: -6.30 eV/atom

***

[7]
The following is a DFT calculation (PBE) of crystalline BaTiN2 at its relaxed geometry. Values from VASP.

Cell and atoms, written as Quantum ESPRESSO input:
```
&SYSTEM
  ibrav = 0, nat = 8, ntyp = 3
/
ATOMIC_SPECIES
Ba 137.33 Ba.upf
Ti 47.87 Ti.upf
N 14.01 N.upf
CELL_PARAMETERS angstrom
3.282 0.000 0.000
-1.641 2.842 0.000
0.000 0.000 12.260
ATOMIC_POSITIONS crystal
Ba 0.333 0.667 0.250
Ba 0.667 0.333 0.750
Ti 0.000 0.000 0.000
Ti 0.000 0.000 0.500
N 0.333 0.667 0.588
N 0.333 0.667 0.912
N 0.667 0.333 0.088
N 0.667 0.333 0.412
```

Properties
size of the total moment: 0.000 μB/f.u.
raw total energy: -7.45 eV/atom

***

[8]
The following is a DFT calculation (PBE) of crystalline Ba3Ti3N5 at its relaxed geometry. Values from VASP.

Cell and atoms, written as Quantum ESPRESSO input:
```
&SYSTEM
  ibrav = 0, nat = 22, ntyp = 3
/
ATOMIC_SPECIES
Ba 137.33 Ba.upf
Ti 47.87 Ti.upf
N 14.01 N.upf
CELL_PARAMETERS angstrom
6.156 0.000 0.000
-0.931 7.722 0.000
-1.799 -3.098 8.443
ATOMIC_POSITIONS crystal
Ba 0.146 0.356 0.376
Ba 0.150 0.161 0.721
Ba 0.332 0.942 0.122
Ba 0.668 0.058 0.878
Ba 0.850 0.839 0.279
Ba 0.854 0.644 0.624
Ti 0.202 0.482 0.084
Ti 0.388 0.603 0.793
Ti 0.411 0.813 0.469
Ti 0.589 0.187 0.531
Ti 0.612 0.397 0.207
Ti 0.798 0.518 0.916
N 0.116 0.557 0.885
N 0.294 0.026 0.432
N 0.332 0.261 0.047
N 0.332 0.714 0.630
N 0.455 0.616 0.282
N 0.545 0.384 0.718
N 0.668 0.286 0.370
N 0.668 0.739 0.953
N 0.706 0.974 0.568
N 0.884 0.443 0.115
```

Properties
size of the total moment: 0.001 μB/f.u.
raw total energy: -7.53 eV/atom

***

[9]
The following is a DFT calculation (PBE) of crystalline Ba4TiN4 at its relaxed geometry. Values from VASP.

Cell and atoms, written as Quantum ESPRESSO input:
```
&SYSTEM
  ibrav = 0, nat = 18, ntyp = 3
/
ATOMIC_SPECIES
Ba 137.33 Ba.upf
Ti 47.87 Ti.upf
N 14.01 N.upf
CELL_PARAMETERS angstrom
6.816 0.000 0.000
2.795 6.320 0.000
1.624 2.489 9.222
ATOMIC_POSITIONS crystal
Ba 0.216 0.003 0.063
Ba 0.238 0.726 0.464
Ba 0.279 0.076 0.653
Ba 0.283 0.532 0.880
Ba 0.717 0.468 0.120
Ba 0.721 0.924 0.347
Ba 0.762 0.274 0.536
Ba 0.784 0.997 0.937
Ti 0.235 0.340 0.255
Ti 0.765 0.660 0.745
N 0.048 0.171 0.317
N 0.069 0.640 0.140
N 0.409 0.314 0.411
N 0.456 0.191 0.122
N 0.544 0.809 0.878
N 0.591 0.686 0.589
N 0.931 0.360 0.860
N 0.952 0.829 0.683
```

Properties
size of the total moment: 0.001 μB/f.u.
raw total energy: -6.20 eV/atom

***

[10]
The following is a DFT calculation (PBE) of crystalline Ba3VN3 at its relaxed geometry. Values from VASP.

Cell and atoms, written as Quantum ESPRESSO input:
```
&SYSTEM
  ibrav = 0, nat = 14, ntyp = 3
/
ATOMIC_SPECIES
Ba 137.33 Ba.upf
V 50.94 V.upf
N 14.01 N.upf
CELL_PARAMETERS angstrom
8.473 0.000 0.000
-4.236 7.337 0.000
0.000 0.000 5.529
ATOMIC_POSITIONS crystal
Ba 0.078 0.363 0.250
Ba 0.286 0.922 0.250
Ba 0.363 0.286 0.750
Ba 0.637 0.714 0.250
Ba 0.714 0.078 0.750
Ba 0.922 0.637 0.750
V 0.333 0.667 0.750
V 0.667 0.333 0.250
N 0.133 0.444 0.750
N 0.310 0.867 0.750
N 0.444 0.310 0.250
N 0.556 0.690 0.750
N 0.690 0.133 0.250
N 0.867 0.556 0.250
```

Properties
size of the total moment: 0.966 μB/f.u.
raw total energy: -6.48 eV/atom

***

[11]
The following is a DFT calculation (PBE) of crystalline Ba3V3N5 at its relaxed geometry. Values from VASP.

Cell and atoms, written as Quantum ESPRESSO input:
```
&SYSTEM
  ibrav = 0, nat = 22, ntyp = 3
/
ATOMIC_SPECIES
Ba 137.33 Ba.upf
V 50.94 V.upf
N 14.01 N.upf
CELL_PARAMETERS angstrom
5.990 0.000 0.000
-0.901 7.583 0.000
-1.847 -2.965 8.213
ATOMIC_POSITIONS crystal
Ba 0.149 0.173 0.221
Ba 0.149 0.357 0.881
Ba 0.317 0.931 0.611
Ba 0.683 0.069 0.389
Ba 0.851 0.643 0.119
Ba 0.851 0.827 0.779
V 0.190 0.484 0.587
V 0.403 0.603 0.295
V 0.416 0.818 0.972
V 0.584 0.182 0.028
V 0.597 0.397 0.705
V 0.810 0.516 0.413
N 0.129 0.556 0.383
N 0.288 0.025 0.930
N 0.315 0.260 0.544
N 0.347 0.715 0.132
N 0.451 0.616 0.790
N 0.549 0.384 0.210
N 0.653 0.285 0.868
N 0.685 0.740 0.456
N 0.712 0.975 0.070
N 0.871 0.444 0.617
```

Properties
size of the total moment: 1.417 μB/f.u.
raw total energy: -7.60 eV/atom

***

[12]
The following is a DFT calculation (PBE) of crystalline Ba2VN3 at its relaxed geometry. Values from VASP.

Cell and atoms, written as Quantum ESPRESSO input:
```
&SYSTEM
  ibrav = 0, nat = 24, ntyp = 3
/
ATOMIC_SPECIES
Ba 137.33 Ba.upf
V 50.94 V.upf
N 14.01 N.upf
CELL_PARAMETERS angstrom
2.970 -5.864 0.000
2.970 5.864 0.000
0.000 0.000 13.088
ATOMIC_POSITIONS crystal
Ba 0.056 0.944 0.855
Ba 0.142 0.858 0.422
Ba 0.358 0.642 0.922
Ba 0.444 0.556 0.355
Ba 0.556 0.444 0.645
Ba 0.642 0.358 0.078
Ba 0.858 0.142 0.578
Ba 0.944 0.056 0.145
V 0.244 0.756 0.668
V 0.256 0.744 0.168
V 0.744 0.256 0.832
V 0.756 0.244 0.332
N 0.024 0.476 0.750
N 0.095 0.905 0.634
N 0.167 0.833 0.057
N 0.333 0.667 0.557
N 0.405 0.595 0.134
N 0.476 0.024 0.250
N 0.524 0.976 0.750
N 0.595 0.405 0.866
N 0.667 0.333 0.443
N 0.833 0.167 0.943
N 0.905 0.095 0.366
N 0.976 0.524 0.250
```

Properties
raw total energy: -7.36 eV/atom

***

no.,ΔE_f (eV per formula unit)
1,-12.0
2,-9.9
3,-4.6
4,-10.9
5,-5.5
6,-6.5
7,-4.0
8,-13.5
9,-8.4
10,-6.6
11,-10.7
12,-7.3